The following is a PBE+U calculation of a relaxed VPH9O9 crystal, from Materials Project.

Properties
* E_form: -33.80 eV/f.u.
* theoretical density: 2162 kg/m3
* E_tot: -5.774 eV per atom
* total magnetization: 1.0 μB per formula unit

```
VPH9O9
1.0
-2.063 1.619 -5.889
-1.607 -7.578 -4.677
-13.429 -0.728 1.149
H P O V
36 4 36 4
Cartesian
-2.739 -6.996 -6.475 H
-3.122 -4.335 -6.942 H
-2.757 -0.943 -7.448 H
-14.889 -1.772 -5.359 H
-1.312 -2.991 -3.654 H
-5.345 -1.043 -0.732 H
-14.321 -5.337 -5.731 H
-15.787 -3.695 -5.763 H
-8.983 -6.547 -5.593 H
-8.893 -1.459 -3.406 H
-12.120 -4.801 -5.653 H
-8.802 -2.640 -6.793 H
-8.116 -0.139 -3.824 H
-9.861 -5.709 -7.646 H
-14.341 -5.743 -1.969 H
-2.210 -4.914 -4.058 H
-7.237 -0.976 -1.771 H
-2.778 -1.349 -3.686 H
-3.396 -5.488 -9.518 H
-8.296 -4.046 -2.624 H
-8.206 -5.227 -6.011 H
-4.978 -1.885 -3.764 H
-10.503 -4.742 -5.752 H
-13.977 -2.351 -2.475 H
-8.441 -4.711 -4.059 H
-11.754 -5.643 -8.685 H
-3.328 -0.976 -5.119 H
-7.564 -1.273 -0.266 H
-14.359 0.310 -2.942 H
-11.285 -5.308 -2.519 H
-13.703 -1.198 0.101 H
-5.813 -1.378 -6.898 H
-6.596 -1.944 -3.665 H
-8.658 -1.975 -5.358 H
-13.771 -5.710 -4.298 H
-9.535 -5.413 -9.151 H
-12.008 0.746 -4.311 P
-10.871 -3.143 -2.212 P
-6.228 -3.543 -7.205 P
-5.091 -7.432 -5.106 P
-9.575 -3.437 -1.428 O
-14.672 -5.448 -2.859 O
-6.964 -0.752 -0.853 O
-9.988 0.092 -1.749 O
-4.349 -1.197 -0.591 O
-7.111 -6.778 -7.668 O
-7.524 -3.249 -7.989 O
-13.624 -0.394 -0.444 O
-12.750 -5.489 -8.826 O
-9.307 -2.214 -6.061 O
-1.325 -2.080 -3.243 O
-11.800 -2.134 -1.529 O
-4.557 -6.989 -6.492 O
-7.792 -4.472 -3.356 O
-15.774 -4.605 -6.174 O
-3.588 -0.948 -4.148 O
-12.773 -8.072 -3.939 O
-6.032 -6.399 -4.454 O
-10.134 -5.934 -8.564 O
-4.326 1.386 -5.478 O
-12.542 0.303 -2.925 O
-5.750 -2.451 -3.487 O
-5.338 -2.216 -7.126 O
-11.348 -4.235 -5.930 O
-11.067 -0.287 -4.963 O
-3.474 -6.292 -8.973 O
-10.434 -2.699 -3.622 O
-8.025 -1.128 -3.741 O
-9.074 -5.558 -5.676 O
-2.427 -1.238 -6.558 O
-5.299 -4.552 -7.888 O
-6.664 -3.987 -5.795 O
-13.511 -5.738 -5.269 O
-13.017 -2.317 -4.833 O
-4.082 -4.369 -4.584 O
-11.761 -4.470 -2.291 O
-5.587 -6.532 -8.202 V
-5.652 -4.439 -4.089 V
-11.512 -0.154 -1.215 V
-11.447 -2.247 -5.327 V
```